# 1
A relaxed Re2C3N6 crystal, computed with PBE.

ΔE to the lowest computed polymorph = 0.000 eV/atom

a b c (Å): 10.4471 4.8970 30.2850
angles (deg): 90.00 163.82 76.45
Positions (direct):
N (0.0082, 0.6345, 0.0393)
N (0.0082, 0.3573, 0.5393)
C (0.9680, 0.6803, 0.0669)
Re (0.9052, 0.0525, 0.6341)
C (0.0320, 0.3197, 0.9331)
Re (0.0948, 0.9577, 0.8659)
Re (0.0948, 0.9476, 0.3659)
C (0.0000, 0.3307, 0.2500)
N (0.9082, 0.3644, 0.5876)
N (0.1123, 0.2688, 0.3275)
C (0.0000, 0.6692, 0.7500)
N (0.0918, 0.6356, 0.4124)
N (0.1123, 0.6189, 0.8275)
N (0.9918, 0.6427, 0.4607)
Re (0.9052, 0.0423, 0.1341)
C (0.0320, 0.6483, 0.4331)
N (0.0918, 0.2727, 0.9124)
N (0.9918, 0.3656, 0.9607)
C (0.9680, 0.3517, 0.5669)
N (0.8878, 0.3810, 0.1726)
N (0.9082, 0.7273, 0.0876)
N (0.8878, 0.7312, 0.6726)



# 2
A relaxed BiTe crystal, computed with PBE.

ΔE to the lowest computed polymorph = 0.102 eV/atom

a b c (Å): 4.6009 4.6009 4.6009
angles (deg): 60.00 60.00 60.00
Positions (direct):
Te (0.5000, 0.5000, 0.5000)
Bi (0.0000, 0.0000, 0.0000)



Number 1: calculated density 7.0 Mg/m³, E -8.9982 eV/atom, formation energy 131.6 meV per atom. Number 2: calculated density 8.1 Mg/m³, E -3.6113 eV/atom, formation energy -305.7 meV per atom.